1.
DFT (GGA+U) results for Rb3LiTbV2O8 after structural relaxation.

Cell lengths 6.2197, 6.1416, 7.9582 Å; angles 94.15, 91.60, 119.78 degrees
Last column: nearest neighbours and their distance in Å.
Sites, in units of the cell vectors:
O 0.1715 0.8114 0.3199  1 V 1.77
Tb 0.0091 0.0093 0.5116  6 O 2.19-2.44
V 0.7004 0.3710 0.7453  4 O 1.76-1.89
O 0.3607 0.2315 0.6764  1 V 1.89, 1 Li 1.98
Rb 0.6583 0.3187 0.3116  7 O 2.82-3.15
Li 0.3516 0.3543 0.9116  3 O 1.89-1.98
O 0.6264 0.8009 0.3286  1 V 1.76
V 0.3141 0.6386 0.2476  4 O 1.73-1.77
O 0.6656 0.3857 0.9640  1 V 1.76, 1 Li 1.90
O 0.8615 0.6810 0.6615  1 V 1.84
O 0.8347 0.1870 0.6592  1 V 1.82
O 0.1623 0.3382 0.3212  1 V 1.76
Rb 0.3528 0.7166 0.6745  10 O 2.94-3.29, 1 Li 3.02
O 0.3083 0.6066 0.0294  1 V 1.73, 1 Li 1.89
Rb 0.9039 0.9139 0.0294  5 O 2.82-3.11, 1 Li 3.00

***

2.
DFT (GGA+U) results for Rb3LiTbV2O8 after structural relaxation.

Cell lengths 5.9740, 5.9740, 9.1367 Å; angles 90.00, 90.00, 120.00 degrees
Last column: nearest neighbours and their distance in Å.
Sites, in units of the cell vectors:
O 0.1790 0.8210 0.3502  1 V 1.85
Rb 0.3333 0.6667 0.7856  1 O 2.50, 1 Li 2.65
Tb 0.0000 0.0000 0.4876  6 O 2.24-2.34
O 0.6419 0.8210 0.3502  1 V 1.85
Rb 0.0000 0.0000 0.9860  12 O 3.51-3.81, 3 Rb 3.90
O 0.3456 0.1728 0.6531  1 V 1.76
O 0.1790 0.3581 0.3502  1 V 1.85
O 0.8272 0.6544 0.6531  1 V 1.76
V 0.6667 0.3333 0.7171  4 O 1.71-1.76
O 0.6667 0.3333 0.9046  1 V 1.71
Rb 0.6667 0.3333 0.2808  6 O 3.06
O 0.3333 0.6667 0.0590  1 V 1.73
O 0.8272 0.1728 0.6531  1 V 1.76
Li 0.3333 0.6667 0.4959  3 O 2.08, 1 V 2.26
V 0.3333 0.6667 0.2486  4 O 1.73-1.85

***

3.
DFT (GGA+U) results for Rb3LiTbV2O8 after structural relaxation.

Cell lengths 6.0765, 6.1991, 8.5082 Å; angles 90.00, 86.86, 120.67 degrees
Last column: nearest neighbours and their distance in Å.
Sites, in units of the cell vectors:
V 0.6285 0.3143 0.7300  4 O 1.71-1.82
O 0.7989 0.6220 0.6301  1 V 1.82, 1 Li 2.02
O 0.2011 0.3780 0.3699  1 V 1.82, 1 Li 2.02
O 0.2972 0.1486 0.6938  1 V 1.78
Rb 0.3379 0.6689 0.7566  1 O 2.69, 1 Li 2.89
V 0.3715 0.6857 0.2700  4 O 1.71-1.82
Tb 0.0000 0.0000 0.5000  6 O 2.27-2.34
O 0.6809 0.3404 0.9267  1 V 1.71
Rb 0.0000 0.0000 0.0000  2 O 2.95
Li 0.0000 0.5000 0.5000  4 O 2.02
O 0.2011 0.8231 0.3699  1 V 1.82, 1 Li 2.02
Rb 0.6621 0.3311 0.2434  1 O 2.69, 1 Li 2.89
O 0.3191 0.6596 0.0733  1 V 1.71
O 0.7989 0.1769 0.6301  1 V 1.82, 1 Li 2.02
O 0.7028 0.8514 0.3062  1 V 1.78

***

4.
DFT (GGA+U) results for Rb3LiTbV2O8 after structural relaxation.

Cell lengths 6.3518, 6.3697, 8.3129 Å; angles 90.50, 89.52, 124.52 degrees
Last column: nearest neighbours and their distance in Å.
Sites, in units of the cell vectors:
Rb 0.9558 0.0483 0.0025  3 O 2.93-3.12
Tb 0.0261 0.9759 0.4987  5 O 2.19-2.31
O 0.3555 0.1659 0.6771  1 V 1.76
O 0.1785 0.8367 0.3232  1 V 1.85
O 0.8380 0.6428 0.6728  1 V 1.76
Li 0.7956 0.1900 0.4208  3 O 1.90-1.91
O 0.1454 0.3445 0.3646  1 V 1.89, 1 Li 1.91
O 0.8175 0.1766 0.6481  1 V 1.77, 1 Li 1.90
V 0.6774 0.3236 0.7359  4 O 1.69-1.77
Rb 0.6114 0.3933 0.2255  2 O 2.59-2.88, 1 Li 2.73
V 0.3303 0.6689 0.2681  4 O 1.74-1.89
Rb 0.3496 0.6498 0.7152  9 O 2.97-3.33
O 0.7031 0.3058 0.9370  1 V 1.69
O 0.6551 0.8447 0.3656  1 V 1.89, 1 Li 1.90
O 0.3837 0.6207 0.0699  1 V 1.74

***

no.,formation enthalpy at 0 K (eV/f.u.)
1,-38.59
2,-37.09
3,-38.18
4,-37.87